Record 1
DFT (PBE) results for a geometry-optimized Ca4Zn51 structure.

Geometry as extended XYZ:
```
55
Lattice="14.233 -4.328 0.000 14.233 4.328 0.000 12.917 0.000 7.380" Properties=species:S:1:pos:R:3 pbc="T T T"
Zn 18.878 1.000 2.172
Zn 25.270 -3.276 5.824
Zn 33.076 -1.566 6.210
Zn 12.680 0.522 0.735
Zn 8.465 -1.049 0.287
Zn 27.924 -2.748 5.385
Zn 20.705 -1.002 1.305
Zn 20.678 1.002 6.075
Zn 13.459 2.748 1.995
Zn 18.416 0.519 4.761
Zn 8.307 1.566 1.170
Zn 25.113 2.761 6.702
Zn 26.109 0.515 1.116
Zn 31.043 0.000 5.536
Zn 17.356 1.568 0.158
Zn 24.108 1.718 2.083
Zn 16.356 1.720 5.765
Zn 28.447 1.029 2.453
Zn 12.205 1.040 3.399
Zn 20.238 2.536 3.922
Zn 29.019 1.562 4.871
Zn 18.110 -1.031 0.611
Zn 32.918 1.049 7.093
Zn 23.273 1.031 6.769
Zn 22.967 -0.519 2.619
Zn 21.145 -2.536 3.458
Zn 13.772 -1.719 0.241
Zn 28.703 -0.522 6.645
Zn 12.936 -1.029 4.927
Zn 12.364 -1.562 2.509
Zn 7.988 -0.518 2.958
Zn 19.934 -1.534 5.629
Zn 17.275 -1.718 5.297
Zn 23.795 -2.748 3.841
Zn 24.027 -1.568 7.222
Zn 10.340 0.000 1.844
Zn 25.027 -1.720 1.615
Zn 22.663 1.518 4.324
Zn 16.270 -2.761 0.678
Zn 16.833 -3.288 3.091
Zn 18.720 -1.518 3.056
Zn 33.395 0.518 4.422
Zn 17.588 2.748 3.539
Zn 0.000 0.000 0.000
Zn 21.450 1.534 1.751
Zn 27.611 1.719 7.139
Zn 16.114 3.276 1.556
Zn 29.178 -1.040 3.981
Zn 15.274 -0.515 6.264
Zn 22.505 -1.000 5.208
Zn 24.550 3.288 4.289
Ca 5.173 0.000 0.923
Ca 36.210 0.000 6.457
Ca 25.844 0.000 4.609
Ca 15.539 0.000 2.771
```

calculated total energy = -1.467 eV per atom
space group = R-3 (148)


Record 2
DFT (PBE) results for a geometry-optimized CaZn structure.

Geometry as extended XYZ:
```
2
Lattice="-0.808 -0.172 4.785 -1.582 -3.535 2.930 2.131 -2.473 3.595" Properties=species:S:1:pos:R:3 pbc="T T T"
Ca 0.000 0.000 0.000
Zn -0.130 -3.090 5.655
```

calculated total energy = -1.685 eV per atom
space group = R-3m (166)


Record 3
DFT (PBE) results for a geometry-optimized CaZn11 structure.

Geometry as extended XYZ:
```
24
Lattice="-5.352 5.352 3.419 5.352 -5.352 3.419 5.352 5.352 -3.419" Properties=species:S:1:pos:R:3 pbc="T T T"
Ca 0.000 5.352 1.710
Ca 0.000 0.000 3.419
Zn 8.028 0.000 0.855
Zn -1.299 3.153 3.782
Zn 2.676 0.000 0.855
Zn -1.299 2.198 1.347
Zn 5.352 0.000 1.710
Zn 3.153 -1.299 3.056
Zn 6.651 2.198 0.363
Zn -1.299 8.505 1.347
Zn 3.153 4.052 2.073
Zn 3.153 6.651 2.073
Zn 2.198 4.052 -0.363
Zn 2.198 6.651 -0.363
Zn 0.000 0.000 0.000
Zn 1.299 8.505 1.347
Zn 5.352 -2.676 2.564
Zn -3.153 4.052 2.073
Zn 4.052 2.198 0.363
Zn 3.153 1.299 3.056
Zn 1.299 3.153 3.782
Zn 5.352 2.676 2.564
Zn -3.153 6.651 2.073
Zn 1.299 2.198 1.347
```

calculated total energy = -1.487 eV per atom
space group = I4_1/amd (141)


Record 4
DFT (PBE) results for a geometry-optimized Ca3Zn structure.

Geometry as extended XYZ:
```
4
Lattice="3.989 3.328 2.200 -0.805 2.420 5.032 2.970 -1.734 4.471" Properties=species:S:1:pos:R:3 pbc="T T T"
Ca 4.616 3.010 8.777
Ca 0.000 0.000 0.000
Ca 1.539 1.003 2.926
Zn 3.077 2.007 5.852
```

space group = Fm-3m (225)
E above lowest polymorph = 170 meV per atom


Record 5
DFT (PBE) results for a geometry-optimized Ca3Zn structure.

Geometry as extended XYZ:
```
8
Lattice="-5.119 1.207 4.947 -1.046 -4.961 -5.141 2.307 -3.964 3.355" Properties=species:S:1:pos:R:3 pbc="T T T"
Ca -2.482 -6.286 1.499
Ca -3.838 -0.851 4.039
Ca 0.482 -4.481 1.593
Ca -1.377 -1.432 1.661
Ca -0.021 -6.866 -0.879
Ca -4.340 -3.236 1.568
Zn -2.031 -3.822 4.100
Zn -1.827 -3.896 -0.940
```

space group = P6_3/mmc (194)
E above lowest polymorph = 115 meV per atom


Record 6
DFT (PBE) results for a geometry-optimized CaZn structure.

Geometry as extended XYZ:
```
4
Lattice="-4.318 0.000 0.000 0.000 0.000 -4.339 2.159 -5.717 0.000" Properties=species:S:1:pos:R:3 pbc="T T T"
Ca 0.000 -1.667 -1.085
Ca -2.159 -4.050 -3.254
Zn -2.159 -0.744 -3.254
Zn 0.000 -4.973 -1.085
```

calculated total energy = -1.880 eV per atom
space group = Cmcm (63)